[1]
The following is a PBE+U calculation of a geometry-optimized MgMn6O6F6 structure, from the Materials Project database.

Cell lengths 5.0874, 7.7912, 5.9336 Å; angles 95.74, 98.28, 90.00 degrees
Sites, in units of the cell vectors:
F 0.1876 0.5464 0.3745
F 0.6997 0.1347 0.8028
F 0.8124 0.4536 0.6255
F 0.3003 0.8653 0.1972
F 0.2648 0.2027 0.0467
F 0.7352 0.7973 0.9533
Mn 0.4896 0.3680 0.8054
Mn 0.0000 0.0000 0.0000
Mn 0.5000 0.0000 0.5000
Mn 0.0274 0.6817 0.6630
Mn 0.5104 0.6320 0.1946
Mn 0.9726 0.3183 0.3370
O 0.7096 0.4316 0.1164
O 0.2882 0.2358 0.5369
O 0.2904 0.5684 0.8836
O 0.7118 0.7642 0.4631
O 0.2141 0.9053 0.7373
O 0.7859 0.0947 0.2627
Mg 0.5000 0.0000 0.0000

Summary:
Spin magnetization = 26.00 μB per formula unit
E_form = -2350 meV per atom
Energy above the most stable polymorph in this dataset = 111 meV per atom
SG = P-1
E_tot = -6.61 eV/atom
V = 232 Å³/cell

---

[2]
The following is a PBE+U calculation of a geometry-optimized NaLiNiPO4F structure, from the Materials Project database.

Cell lengths 11.2974, 5.0785, 6.8477 Å; angles 89.74, 90.00, 90.00 degrees
Sites, in units of the cell vectors:
O 0.9262 0.5753 0.1947
O 0.6242 0.7374 0.4556
O 0.9586 0.8566 0.7837
O 0.8290 0.1367 0.1023
O 0.3290 0.3633 0.8977
O 0.5414 0.3566 0.7837
O 0.8758 0.2374 0.4556
O 0.3758 0.2626 0.5444
O 0.6710 0.6367 0.1023
O 0.1710 0.8633 0.8977
O 0.5738 0.0753 0.1947
O 0.1242 0.7626 0.5444
O 0.4586 0.6434 0.2163
O 0.0738 0.4247 0.8053
O 0.0414 0.1434 0.2163
O 0.4262 0.9247 0.8053
Na 0.1651 0.2518 0.4903
Na 0.6651 0.2482 0.5097
Na 0.3349 0.7518 0.4903
Na 0.8349 0.7482 0.5097
F 0.2866 0.0350 0.2104
F 0.2134 0.5350 0.2104
F 0.7134 0.9650 0.7896
F 0.7866 0.4650 0.7896
Li 0.5816 0.7340 0.7449
Li 0.0816 0.7660 0.2551
Li 0.9184 0.2340 0.7449
Li 0.4184 0.2660 0.2551
P 0.9182 0.2744 0.2435
P 0.0818 0.7256 0.7565
P 0.5818 0.7744 0.2435
P 0.4182 0.2256 0.7565
Ni 0.1721 0.2342 0.0197
Ni 0.6721 0.2658 0.9803
Ni 0.3279 0.7342 0.0197
Ni 0.8279 0.7658 0.9803

Summary:
Spin magnetization = 2.00 μB per formula unit
E_form = -2508 meV per atom
SG = P2_1/c
E_tot = -5.88 eV/atom
V = 393 Å³/cell

---

[3]
The following is a PBE+U calculation of a geometry-optimized CaNi2O5 structure, from the Materials Project database.

Cell lengths 6.2974, 6.2974, 10.9161 Å; angles 90.00, 90.00, 143.26 degrees
Sites, in units of the cell vectors:
Ca 0.8949 0.1051 0.2500
Ca 0.1051 0.8949 0.7500
O 0.9110 0.0890 0.8118
O 0.9110 0.0890 0.6882
O 0.2258 0.7742 0.5771
O 0.3199 0.6801 0.2500
O 0.0890 0.9110 0.1882
O 0.7742 0.2258 0.4229
O 0.6801 0.3199 0.7500
O 0.2258 0.7742 0.9229
O 0.7742 0.2258 0.0771
O 0.0890 0.9110 0.3118
Ni 0.7579 0.2421 0.9030
Ni 0.7579 0.2421 0.5970
Ni 0.2421 0.7579 0.0970
Ni 0.2421 0.7579 0.4030

Summary:
Spin magnetization = 4.00 μB per formula unit
E_form = -1117 meV per atom
Energy above the most stable polymorph in this dataset = 0 meV per atom
SG = Cmcm
E_tot = -5.17 eV/atom
V = 259 Å³/cell

---

[4]
The following is a PBE+U calculation of a geometry-optimized Te3Mo5O18 structure, from the Materials Project database.

Cell lengths 8.8637, 8.8637, 11.4956 Å; angles 81.36, 81.36, 65.10 degrees
Sites, in units of the cell vectors:
O 0.9645 0.1998 0.5498
O 0.3922 0.4072 0.4457
O 0.6525 0.8887 0.6345
O 0.4297 0.7653 0.8087
O 0.1319 0.7311 0.9351
O 0.3945 0.7086 0.3138
O 0.8829 0.5818 0.6009
O 0.9873 0.4730 0.0880
O 0.6410 0.1741 0.7131
O 0.4282 0.4091 0.9649
O 0.5645 0.2828 0.2207
O 0.5909 0.5718 0.0351
O 0.1688 0.3842 0.8944
O 0.2763 0.2751 0.1530
O 0.2347 0.5703 0.1913
O 0.2914 0.6055 0.6862
O 0.2698 0.8893 0.5614
O 0.8259 0.3590 0.2869
O 0.9476 0.8561 0.6779
O 0.2689 0.8681 0.0649
O 0.6158 0.8312 0.1056
O 0.8798 0.9449 0.1211
O 0.8237 0.9881 0.9158
O 0.1439 0.0524 0.3221
O 0.1113 0.3475 0.3655
O 0.4182 0.1171 0.3991
O 0.0119 0.1763 0.0842
O 0.8124 0.7364 0.3908
O 0.7172 0.4355 0.7793
O 0.0551 0.1202 0.8789
O 0.8002 0.0355 0.4502
O 0.5270 0.0127 0.9120
O 0.2636 0.1876 0.6092
O 0.1107 0.7302 0.4386
O 0.7249 0.7237 0.8470
O 0.5928 0.6078 0.5543
Mo 0.0479 0.9521 0.0000
Mo 0.5132 0.7736 0.9734
Mo 0.7222 0.9691 0.7753
Mo 0.2264 0.4868 0.0266
Mo 0.3627 0.3426 0.2824
Mo 0.6574 0.6373 0.7176
Mo 0.0309 0.2778 0.2247
Mo 0.8748 0.8363 0.5215
Mo 0.1637 0.1252 0.4785
Mo 0.3528 0.6472 0.5000
Te 0.1993 0.8189 0.7365
Te 0.1811 0.8007 0.2635
Te 0.8178 0.5278 0.4611
Te 0.9684 0.3585 0.9483
Te 0.6415 0.0316 0.0517
Te 0.4722 0.1822 0.5389

Summary:
Spin magnetization = 6.00 μB per formula unit
E_form = -1703 meV per atom
SG = C2
E_tot = -6.49 eV/atom
V = 806 Å³/cell

---

What did the third record say?
The following is a PBE+U calculation of a geometry-optimized CaNi2O5 structure, from the Materials Project database.

Cell lengths 6.2974, 6.2974, 10.9161 Å; angles 90.00, 90.00, 143.26 degrees
Sites, in units of the cell vectors:
Ca 0.8949 0.1051 0.2500
Ca 0.1051 0.8949 0.7500
O 0.9110 0.0890 0.8118
O 0.9110 0.0890 0.6882
O 0.2258 0.7742 0.5771
O 0.3199 0.6801 0.2500
O 0.0890 0.9110 0.1882
O 0.7742 0.2258 0.4229
O 0.6801 0.3199 0.7500
O 0.2258 0.7742 0.9229
O 0.7742 0.2258 0.0771
O 0.0890 0.9110 0.3118
Ni 0.7579 0.2421 0.9030
Ni 0.7579 0.2421 0.5970
Ni 0.2421 0.7579 0.0970
Ni 0.2421 0.7579 0.4030

Summary:
Spin magnetization = 4.00 μB per formula unit
E_form = -1117 meV per atom
Energy above the most stable polymorph in this dataset = 0 meV per atom
SG = Cmcm
E_tot = -5.17 eV/atom
V = 259 Å³/cell

---

Q: Which value of E_tot does entry 2 give?
A: -5.88 eV/atom

---

Q: The lowest E_tot belongs to which entry?
A: MgMn6O6F6

---

Q: Among the records above, which one has the lowest E_form?
A: NaLiNiPO4F